# 1
Ba2Ca2EuTi3Cu2O14, optimized geometry, DFT PBE-GGA; energy of formation = -2.94 eV per atom; total magnetic moment = 6.50 μB per cell; symmetry = P4/mmm; volume = 12.59 Å³/atom; DFT total energy = -180.18 eV/cell; crystal system = tetragonal
1.0
-1.926 3.139 -1.323
-3.277 -1.291 1.707
4.702 9.823 16.458
O Ti Ca Cu Ba Eu
14 3 2 2 2 1
Direct
0.000 0.000 0.098
0.000 0.500 0.193
0.000 0.500 0.425
0.000 0.500 0.807
0.000 0.500 0.575
0.000 0.000 0.902
0.500 0.000 0.193
0.500 0.000 0.000
0.000 0.500 0.000
0.500 0.000 0.807
0.000 0.000 0.296
0.500 0.000 0.575
0.000 0.000 0.704
0.500 0.000 0.425
0.000 0.000 0.802
0.000 0.000 0.198
0.000 0.000 0.000
0.500 0.500 0.898
0.500 0.500 0.102
0.000 0.000 0.409
0.000 0.000 0.591
0.500 0.500 0.305
0.500 0.500 0.695
0.500 0.500 0.500


# 2
BaCaCuF7, optimized geometry, DFT PBE-GGA; energy of formation = -3.20 eV per atom; total magnetic moment = 8.00 μB per cell; symmetry = P2_1/c; volume = 14.84 Å³/atom; DFT total energy = -200.66 eV/cell; crystal system = monoclinic
1.0
10.484 0.000 0.000
0.000 5.689 0.000
0.000 0.360 9.954
F Ca Cu Ba
28 4 4 4
Direct
0.041 0.088 0.853
0.458 0.392 0.616
0.542 0.608 0.384
0.919 0.097 0.394
0.033 0.662 0.370
0.272 0.011 0.752
0.728 0.989 0.248
0.459 0.088 0.353
0.533 0.338 0.130
0.204 0.466 0.762
0.959 0.912 0.147
0.298 0.284 0.020
0.967 0.338 0.630
0.772 0.989 0.748
0.702 0.716 0.980
0.704 0.534 0.738
0.796 0.534 0.238
0.042 0.392 0.116
0.467 0.662 0.870
0.419 0.903 0.106
0.296 0.466 0.262
0.202 0.284 0.520
0.081 0.903 0.606
0.958 0.608 0.884
0.541 0.912 0.647
0.228 0.011 0.252
0.798 0.716 0.480
0.581 0.097 0.894
0.409 0.292 0.821
0.591 0.708 0.179
0.909 0.708 0.679
0.091 0.292 0.321
0.123 0.191 0.690
0.377 0.191 0.190
0.623 0.809 0.810
0.877 0.809 0.310
0.333 0.738 0.506
0.833 0.262 0.994
0.167 0.738 0.006
0.667 0.262 0.494


# 3
Ba2CaGa2CuF14, optimized geometry, DFT PBE-GGA; energy of formation = -3.38 eV per atom; symmetry = C2/c; volume = 14.13 Å³/atom; DFT total energy = -207.80 eV/cell; crystal system = monoclinic
1.0
-3.552 2.001 -6.335
-1.120 -2.752 -6.923
-12.551 -6.944 4.231
F Ba Ca Ga Cu
28 4 2 4 2
Direct
0.328 0.173 0.408
0.331 0.911 0.705
0.581 0.430 0.844
0.382 0.785 0.519
0.907 0.362 0.547
0.006 0.883 0.615
0.862 0.458 0.722
0.430 0.581 0.344
0.570 0.419 0.656
0.911 0.331 0.205
0.883 0.006 0.115
0.089 0.669 0.795
0.215 0.618 0.981
0.672 0.827 0.592
0.638 0.093 0.953
0.138 0.542 0.278
0.173 0.328 0.908
0.827 0.672 0.092
0.362 0.907 0.047
0.994 0.117 0.385
0.618 0.215 0.481
0.785 0.382 0.019
0.542 0.138 0.778
0.117 0.994 0.885
0.093 0.638 0.453
0.458 0.862 0.222
0.669 0.089 0.295
0.419 0.570 0.156
0.746 0.631 0.380
0.254 0.369 0.620
0.369 0.254 0.120
0.631 0.746 0.880
0.928 0.072 0.750
0.072 0.928 0.250
0.605 0.636 0.624
0.364 0.395 0.876
0.636 0.605 0.124
0.395 0.364 0.376
0.000 0.000 0.000
0.000 0.000 0.500


# 4
Ba2CaTi2CuF14, optimized geometry, DFT PBE-GGA; energy of formation = -3.69 eV per atom; total magnetic moment = 2.34 μB per cell; symmetry = C2/c; volume = 15.24 Å³/atom; DFT total energy = -239.65 eV/cell; crystal system = monoclinic
1.0
2.786 7.183 0.000
-2.786 7.183 0.000
0.000 0.911 15.231
Ti F Ca Ba Cu
4 28 2 4 2
Direct
0.148 0.102 0.624
0.102 0.148 0.124
0.898 0.852 0.876
0.852 0.898 0.376
0.032 0.648 0.279
0.915 0.080 0.656
0.359 0.149 0.605
0.352 0.968 0.221
0.480 0.620 0.881
0.404 0.831 0.709
0.086 0.731 0.980
0.731 0.086 0.480
0.085 0.920 0.344
0.596 0.169 0.291
0.107 0.590 0.451
0.590 0.107 0.951
0.968 0.352 0.721
0.851 0.641 0.895
0.893 0.410 0.549
0.169 0.596 0.791
0.831 0.404 0.209
0.914 0.269 0.020
0.620 0.480 0.381
0.641 0.851 0.395
0.520 0.380 0.119
0.920 0.085 0.844
0.410 0.893 0.049
0.380 0.520 0.619
0.149 0.359 0.105
0.648 0.032 0.779
0.269 0.914 0.520
0.080 0.915 0.156
0.428 0.572 0.250
0.572 0.428 0.750
0.264 0.095 0.877
0.736 0.905 0.123
0.905 0.736 0.623
0.095 0.264 0.377
0.500 0.500 0.500
0.500 0.500 0.000


# 5
Ba4Ca4Cu6Hg2O17, optimized geometry, DFT PBE-GGA; energy of formation = -1.99 eV per atom; total magnetic moment = 2.00 μB per cell; symmetry = I4/mmm; volume = 14.48 Å³/atom; DFT total energy = -178.99 eV/cell; crystal system = tetragonal
1.0
13.703 -9.157 0.234
14.330 -4.798 6.580
-15.861 4.269 -1.364
O Ba Ca Hg Cu
17 4 4 2 6
Direct
0.000 0.500 0.000
0.564 0.064 0.500
0.599 0.096 0.000
0.436 0.936 0.500
0.904 0.904 0.503
0.936 0.436 0.500
0.401 0.401 0.497
0.401 0.904 0.000
0.500 0.500 0.000
0.096 0.599 0.000
0.500 0.500 0.500
0.000 0.000 0.500
0.904 0.401 0.000
0.500 0.000 0.000
0.096 0.096 0.497
0.064 0.564 0.500
0.599 0.599 0.503
0.088 0.088 0.000
0.582 0.582 0.000
0.912 0.912 0.000
0.418 0.418 0.000
0.302 0.302 0.000
0.199 0.199 0.000
0.698 0.698 0.000
0.801 0.801 0.000
0.000 0.500 0.500
0.500 0.000 0.500
0.350 0.850 0.500
0.250 0.750 0.500
0.650 0.150 0.500
0.750 0.250 0.500
0.150 0.650 0.500
0.850 0.350 0.500


# 6
Ba6Ca6Cu9Hg3O25, optimized geometry, DFT PBE-GGA; energy of formation = -2.02 eV per atom; total magnetic moment = 0.19 μB per cell; symmetry = C2/m; volume = 14.93 Å³/atom; DFT total energy = -266.94 eV/cell; crystal system = monoclinic
1.0
-5.536 -6.195 -2.454
-4.391 -6.889 2.881
-15.760 5.214 4.062
O Hg Cu Ca Ba
25 3 9 6 6
Direct
0.166 0.667 0.000
0.287 0.287 0.627
0.713 0.713 0.373
0.042 0.042 0.373
0.500 0.500 0.500
0.667 0.166 0.000
0.333 0.834 0.000
0.735 0.231 0.804
0.769 0.265 0.196
0.101 0.601 0.197
0.231 0.735 0.804
0.937 0.434 0.196
0.372 0.372 0.373
0.265 0.769 0.196
0.399 0.899 0.803
0.000 0.500 0.000
0.063 0.566 0.804
0.899 0.399 0.803
0.500 0.000 0.000
0.958 0.958 0.627
0.834 0.333 0.000
0.434 0.937 0.196
0.628 0.628 0.627
0.566 0.063 0.804
0.601 0.101 0.197
0.000 0.000 0.500
0.339 0.339 0.500
0.661 0.661 0.500
0.766 0.766 0.199
0.566 0.566 0.801
0.167 0.167 0.000
0.100 0.100 0.199
0.234 0.234 0.801
0.434 0.434 0.199
0.500 0.500 0.000
0.900 0.900 0.801
0.833 0.833 0.000
0.300 0.300 0.102
0.632 0.632 0.104
0.034 0.034 0.898
0.368 0.368 0.896
0.700 0.700 0.898
0.966 0.966 0.102
0.555 0.555 0.335
0.225 0.225 0.325
0.892 0.892 0.325
0.445 0.445 0.665
0.108 0.108 0.675
0.775 0.775 0.675


# 7
Ba2Ca2Cu3HgO8, optimized geometry, DFT PBE-GGA; energy of formation = -2.04 eV per atom; total magnetic moment = 0.04 μB per cell; symmetry = P4/mmm; volume = 15.39 Å³/atom; DFT total energy = -87.21 eV/cell; crystal system = tetragonal
1.0
-2.578 2.722 1.046
-2.381 -2.771 1.343
7.027 1.042 14.613
Cu O Hg Ba Ca
3 8 1 2 2
Direct
0.000 0.000 0.308
0.000 0.000 0.500
0.000 0.000 0.692
0.000 0.500 0.500
0.500 0.000 0.304
0.000 0.500 0.304
0.000 0.500 0.696
0.000 0.000 0.124
0.500 0.000 0.696
0.000 0.000 0.876
0.500 0.000 0.500
0.000 0.000 0.000
0.500 0.500 0.184
0.500 0.500 0.816
0.500 0.500 0.401
0.500 0.500 0.599


# 8
Ba10Ca5Cu10Hg5O31, optimized geometry, DFT PBE-GGA; energy of formation = -2.00 eV per atom; total magnetic moment = 0.00 μB per cell; symmetry = P-1; volume = 15.68 Å³/atom; DFT total energy = -325.81 eV/cell; crystal system = triclinic
1.0
-4.672 -6.531 3.149
2.919 -5.123 -6.297
11.172 0.134 7.425
O Ca Ba Cu Hg
31 5 10 10 5
Direct
0.049 0.024 0.622
0.461 0.226 0.158
0.853 0.677 0.379
0.450 0.223 0.621
0.869 0.429 0.158
0.151 0.576 0.378
0.258 0.634 0.158
0.335 0.163 0.842
0.500 0.500 0.000
0.062 0.031 0.155
0.951 0.976 0.378
0.131 0.571 0.842
0.651 0.076 0.378
0.742 0.366 0.842
0.251 0.875 0.378
0.752 0.374 0.378
0.147 0.323 0.621
0.450 0.475 0.379
0.938 0.969 0.845
0.849 0.424 0.622
0.248 0.626 0.622
0.665 0.837 0.158
0.749 0.125 0.622
0.349 0.924 0.622
0.649 0.825 0.622
0.550 0.525 0.621
0.051 0.275 0.378
0.550 0.777 0.379
0.539 0.774 0.842
0.351 0.175 0.378
0.949 0.725 0.622
0.300 0.401 0.502
0.500 0.000 0.500
0.100 0.800 0.500
0.900 0.200 0.500
0.700 0.599 0.498
0.811 0.654 0.778
0.584 0.542 0.209
0.390 0.944 0.221
0.787 0.145 0.222
0.189 0.346 0.222
0.416 0.458 0.791
0.012 0.257 0.778
0.213 0.855 0.778
0.988 0.743 0.222
0.610 0.056 0.779
0.848 0.924 0.621
0.049 0.524 0.621
0.751 0.875 0.379
0.648 0.325 0.621
0.352 0.675 0.379
0.249 0.125 0.621
0.551 0.277 0.379
0.152 0.076 0.379
0.449 0.723 0.621
0.951 0.476 0.379
0.403 0.210 0.000
0.597 0.790 0.000
0.790 0.403 0.000
0.000 0.000 0.000
0.210 0.597 0.000


# 9
Ba3CaLa2Cu6O14, optimized geometry, DFT PBE-GGA; energy of formation = -2.18 eV per atom; total magnetic moment = 0.03 μB per cell; symmetry = Cmm2; volume = 13.63 Å³/atom; DFT total energy = -158.46 eV/cell; crystal system = orthorhombic
1.0
0.060 4.559 -3.076
-5.345 -0.772 -1.040
-2.757 6.394 9.423
Ba Cu O La Ca
3 6 14 2 1
Direct
0.000 0.000 0.184
0.000 0.000 0.820
0.500 0.500 0.183
0.500 0.000 0.351
0.000 0.500 0.652
0.000 0.500 0.997
0.000 0.500 0.351
0.500 0.000 0.652
0.500 0.000 0.997
0.249 0.751 0.375
0.751 0.249 0.375
0.259 0.259 0.641
0.751 0.751 0.371
0.742 0.258 0.642
0.000 0.500 0.837
0.741 0.741 0.641
0.500 0.000 0.837
0.718 0.718 0.981
0.500 0.000 0.156
0.258 0.742 0.642
0.000 0.500 0.156
0.282 0.282 0.981
0.249 0.249 0.371
0.000 0.000 0.503
0.500 0.500 0.805
0.500 0.500 0.499


# 10
BaCa4Cu2N4, optimized geometry, DFT PBE-GGA; energy of formation = -0.76 eV per atom; total magnetic moment = 0.00 μB per cell; symmetry = P4/ncc; volume = 19.51 Å³/atom; DFT total energy = -233.46 eV/cell; crystal system = tetragonal
1.0
-3.772 -7.374 0.023
4.051 -2.093 -6.915
9.311 -4.740 6.889
Ca N Cu Ba
16 16 8 4
Direct
0.619 0.333 0.913
0.881 0.167 0.087
0.833 0.119 0.413
0.619 0.667 0.413
0.333 0.619 0.587
0.167 0.881 0.413
0.167 0.119 0.913
0.333 0.381 0.087
0.119 0.167 0.587
0.667 0.381 0.587
0.881 0.833 0.587
0.119 0.833 0.087
0.833 0.881 0.913
0.381 0.333 0.413
0.667 0.619 0.087
0.381 0.667 0.913
0.181 0.874 0.603
0.819 0.126 0.603
0.374 0.681 0.103
0.681 0.374 0.397
0.319 0.374 0.897
0.374 0.319 0.603
0.874 0.181 0.897
0.626 0.319 0.103
0.626 0.681 0.603
0.874 0.819 0.397
0.126 0.819 0.897
0.681 0.626 0.897
0.126 0.181 0.397
0.181 0.126 0.103
0.319 0.626 0.397
0.819 0.874 0.103
0.653 0.347 0.250
0.153 0.847 0.750
0.653 0.653 0.750
0.847 0.847 0.250
0.847 0.153 0.750
0.153 0.153 0.250
0.347 0.653 0.250
0.347 0.347 0.750
0.500 0.000 0.655
0.000 0.500 0.845
0.500 0.000 0.155
0.000 0.500 0.345